Record 1
Entry from the Materials Project: crystalline Na3InP2O8 at its relaxed geometry (GGA-PBE).

Lattice parameters (Å, degrees): 18.463 5.216 8.735 55.58 90.00 90.00
Positions (direct):
Na  0.694  0.397  0.805
Na  0.875  0.699  0.514
Na  0.375  0.301  0.986
Na  0.125  0.301  0.486
Na  0.625  0.699  0.014
Na  0.806  0.397  0.305
Na  0.306  0.603  0.195
Na  0.194  0.603  0.695
Na  0.550  0.049  0.209
Na  0.950  0.049  0.709
Na  0.450  0.951  0.791
Na  0.050  0.951  0.291
In  0.628  0.204  0.512
In  0.128  0.796  0.988
In  0.372  0.796  0.488
In  0.872  0.204  0.012
P  0.537  0.514  0.717
P  0.714  0.914  0.282
P  0.214  0.086  0.218
P  0.286  0.086  0.718
P  0.786  0.914  0.782
P  0.037  0.486  0.783
P  0.963  0.514  0.217
P  0.463  0.486  0.283
O  0.438  0.527  0.105
O  0.938  0.473  0.395
O  0.562  0.473  0.895
O  0.062  0.527  0.605
O  0.432  0.182  0.456
O  0.932  0.818  0.044
O  0.568  0.818  0.544
O  0.068  0.182  0.956
O  0.549  0.488  0.287
O  0.049  0.512  0.213
O  0.451  0.512  0.713
O  0.951  0.488  0.787
O  0.437  0.772  0.285
O  0.937  0.228  0.215
O  0.563  0.228  0.715
O  0.063  0.772  0.785
O  0.802  0.583  0.959
O  0.302  0.417  0.541
O  0.198  0.417  0.041
O  0.698  0.583  0.459
O  0.806  0.170  0.817
O  0.306  0.830  0.683
O  0.194  0.830  0.183
O  0.694  0.170  0.317
O  0.798  0.918  0.252
O  0.298  0.082  0.248
O  0.202  0.082  0.748
O  0.702  0.918  0.752
O  0.671  0.979  0.114
O  0.171  0.021  0.386
O  0.329  0.021  0.886
O  0.829  0.979  0.614

Properties
V = 12.39 Å³ per atom
Formation energy from the elements = -2552 meV/atom
Total DFT energy (no corrections) = -6.240 eV per atom
Total magnetization = 0.00 μB per cell

=====

Record 2
Entry from the Materials Project: crystalline MgTe2Mo2W2Se4S2 at its relaxed geometry (GGA-PBE).

Lattice parameters (Å, degrees): 3.338 3.337 45.464 90.00 90.00 120.00
Positions (direct):
Mg  0.000  0.000  0.378
Te  0.667  0.334  0.052
Te  0.667  0.333  0.136
Mo  0.333  0.667  0.094
Mo  0.333  0.667  0.476
W  0.667  0.334  0.274
W  0.667  0.333  0.658
Se  0.333  0.666  0.695
Se  0.667  0.333  0.438
Se  0.667  0.333  0.512
Se  0.333  0.667  0.621
S  0.333  0.667  0.307
S  0.333  0.667  0.240

Properties
V = 33.74 Å³ per atom
Formation energy from the elements = -541 meV/atom
Total DFT energy (no corrections) = -6.444 eV per atom
Total magnetization = 0.01 μB per cell

=====

> Among the records above, which one has the lowest formation energy from the elements?

Na3InP2O8

=====

> Which value of total DFT energy (no corrections) does entry 1 give?

-6.240 eV per atom